The following is a DFT calculation (GGA-PBE) of a relaxed BaP2Os2 crystal.

Cell: 4.084 4.084 12.287 Å, 90.00 90.00 90.00°
Space group I4/mmm (No. 139)
Inequivalent atoms, fractional coordinates:
Ba 0.000 0.000 0.000 (multiplicity 2)
P 0.000 0.000 0.344 (multiplicity 4)
Os 0.000 0.500 0.250 (multiplicity 4)

Results
The calculation puts the calculated formation energy at -0.672 eV/atom. The crystal system is tetragonal.

The following is a DFT calculation (GGA-PBE) of a relaxed BaSb12Os4 crystal.

Cell: 9.474 9.474 9.474 Å, 90.00 90.00 90.00°
Space group Im-3 (No. 204)
Inequivalent atoms, fractional coordinates:
Ba 0.000 0.000 0.000 (multiplicity 2)
Sb 0.000 0.342 0.159 (multiplicity 24)
Os 0.250 0.250 0.250 (multiplicity 8)

Results
The calculation puts the calculated formation energy at -0.165 eV/atom. The crystal system is cubic.

The following is a DFT calculation (GGA-PBE) of a relaxed BaP10 crystal.

Cell: 6.495 12.983 12.140 Å, 90.00 90.00 90.00°
Space group Cmc2_1 (No. 36)
Inequivalent atoms, fractional coordinates:
Ba 0.000 0.187 0.000 (multiplicity 4)
P 0.000 0.066 0.449 (multiplicity 4)
P 0.000 0.092 0.727 (multiplicity 4)
P 0.000 0.187 0.577 (multiplicity 4)
P 0.000 0.389 0.401 (multiplicity 4)
P 0.000 0.408 0.223 (multiplicity 4)
P 0.000 0.449 0.942 (multiplicity 4)
P 0.245 0.376 0.841 (multiplicity 8)
P 0.249 0.022 0.191 (multiplicity 8)

Results
The calculation puts the calculated formation energy at -0.259 eV/atom. The crystal system is orthorhombic. The calculation puts the largest piezoelectric modulus at 0.255 C/m2.

The following is a DFT calculation (GGA-PBE) of a relaxed Ba5P4 crystal.

Cell: 8.437 16.738 8.525 Å, 90.00 90.00 90.00°
Space group Pnma (No. 62)
Inequivalent atoms, fractional coordinates:
Ba 0.074 0.103 0.166 (multiplicity 8)
Ba 0.092 0.603 0.343 (multiplicity 8)
Ba 0.246 0.250 0.505 (multiplicity 4)
P 0.147 0.250 0.912 (multiplicity 4)
P 0.158 0.750 0.601 (multiplicity 4)
P 0.247 0.053 0.507 (multiplicity 8)

Results
The calculation puts the calculated formation energy at -1.010 eV/atom. The crystal system is orthorhombic.

no.,total energy (eV/atom)
1,-7.712
2,-5.834
3,-5.355
4,-4.482